1.
Computed, not measured: Sr4HfO6 after structural relaxation at the PBE level of DFT. Values from VASP.

Results
Calculated total energy ... -7.19 eV/atom
Total magnetization ... 0.00 μB per cell
Formation energy from the elements ... -3.3465 eV/atom
Mass density ... 5.865 g/cm³

```
&SYSTEM
  ibrav = 0, nat = 22, ntyp = 3
/
ATOMIC_SPECIES
Sr 87.62 Sr.upf
Hf 178.49 Hf.upf
O 16.00 O.upf
ATOMIC_POSITIONS angstrom
Sr -3.224 0.201 5.087
Sr 0.000 0.000 3.052
Sr -1.786 -2.692 7.122
Sr 1.438 -2.893 5.087
Sr -1.438 2.893 7.122
Sr 1.786 2.692 5.087
Sr 0.000 0.000 9.157
Sr 3.224 -0.201 7.122
Hf 0.000 0.000 0.000
Hf 0.000 0.000 6.104
O -4.362 -1.304 6.900
O -1.052 -4.430 5.309
O -1.052 -1.356 4.865
O -3.310 3.126 5.309
O -0.648 1.589 4.865
O -1.700 0.233 7.344
O 1.700 -0.233 4.865
O 0.648 -1.589 7.344
O 3.310 -3.126 6.900
O 1.052 1.356 7.344
O 1.052 4.430 6.900
O 4.362 1.304 5.309
CELL_PARAMETERS angstrom
5.010 2.893 4.070
-5.010 2.893 4.070
0.000 -5.786 4.070
```

2.
Computed, not measured: Sr4HfTi3O12 after structural relaxation at the PBE level of DFT. Values from VASP.

Results
Calculated total energy ... -8.18 eV/atom
Total magnetization ... 0.01 μB per cell
Formation energy from the elements ... -3.5985 eV/atom
Mass density ... 5.618 g/cm³

```
&SYSTEM
  ibrav = 0, nat = 20, ntyp = 4
/
ATOMIC_SPECIES
Sr 87.62 Sr.upf
Hf 178.49 Hf.upf
Ti 47.87 Ti.upf
O 16.00 O.upf
ATOMIC_POSITIONS angstrom
Sr 1.937 2.047 0.000
Sr 1.937 -2.047 0.000
Sr 6.051 2.047 0.000
Sr 6.051 -2.047 0.000
Hf 3.994 0.000 2.004
Ti 0.000 0.000 2.004
Ti 3.994 4.000 2.004
Ti 3.994 -4.000 2.004
O 0.000 0.000 0.000
O 1.997 3.990 2.004
O 3.994 5.985 2.004
O 1.932 0.000 2.004
O 3.994 4.034 0.000
O 3.994 2.075 2.004
O 1.997 -3.990 2.004
O 3.994 0.000 0.000
O 3.994 -2.075 2.004
O 3.994 -4.034 0.000
O 6.056 0.000 2.004
O 3.994 -5.985 2.004
CELL_PARAMETERS angstrom
3.994 -7.980 0.000
3.994 7.980 0.000
0.000 0.000 4.008
```

3.
Computed, not measured: TbHfO4 after structural relaxation at the PBE level of DFT. Values from VASP.

Results
Calculated total energy ... -8.86 eV/atom
Total magnetization ... 2.00 μB per cell
Formation energy from the elements ... -3.5827 eV/atom
Mass density ... 8.676 g/cm³

```
&SYSTEM
  ibrav = 0, nat = 12, ntyp = 3
/
ATOMIC_SPECIES
Tb 158.93 Tb.upf
Hf 178.49 Hf.upf
O 16.00 O.upf
ATOMIC_POSITIONS angstrom
Tb 0.982 3.941 2.921
Tb 2.824 -3.941 0.974
Hf 2.824 1.206 0.974
Hf 0.982 -1.206 2.921
O 1.181 2.368 1.142
O -0.961 0.249 3.079
O 0.881 -0.249 1.132
O 4.467 2.368 0.805
O -0.661 -2.368 3.089
O 2.925 0.249 2.762
O 4.767 -0.249 0.815
O 2.625 -2.368 2.752
CELL_PARAMETERS angstrom
3.745 -5.268 0.000
3.745 5.268 0.000
-3.684 0.000 3.894
```

4.
Computed, not measured: TbHfO14 after structural relaxation at the PBE level of DFT. Values from VASP.

Results
Calculated total energy ... -4.86 eV/atom
Total magnetization ... 1.01 μB per cell
Formation energy from the elements ... -0.0304 eV/atom
Mass density ... 4.482 g/cm³

```
&SYSTEM
  ibrav = 0, nat = 32, ntyp = 3
/
ATOMIC_SPECIES
Tb 158.93 Tb.upf
Hf 178.49 Hf.upf
O 16.00 O.upf
ATOMIC_POSITIONS angstrom
Tb 1.481 1.481 1.481
Tb 10.369 10.369 10.369
Hf 4.444 4.444 4.444
Hf 7.406 7.406 7.406
O 0.000 0.000 0.000
O 2.962 2.962 0.000
O 2.962 0.000 2.962
O 5.143 3.745 2.032
O 5.143 2.032 3.745
O 6.855 3.745 3.745
O 3.745 5.143 2.032
O 3.745 2.032 5.143
O 6.855 5.143 5.143
O 6.707 6.707 4.994
O 8.105 8.105 4.994
O 6.707 4.994 6.707
O 9.818 8.105 6.707
O 8.105 4.994 8.105
O 9.818 6.707 8.105
O 0.000 2.962 2.962
O 2.032 5.143 3.745
O 3.745 6.855 3.745
O 2.032 3.745 5.143
O 5.143 6.855 5.143
O 3.745 3.745 6.855
O 5.143 5.143 6.855
O 4.994 6.707 6.707
O 8.105 9.818 6.707
O 8.105 6.707 9.818
O 4.994 8.105 8.105
O 6.707 9.818 8.105
O 6.707 8.105 9.818
CELL_PARAMETERS angstrom
0.000 5.925 5.925
5.925 0.000 5.925
5.925 5.925 0.000
```

5.
Computed, not measured: HfZrO4 after structural relaxation at the PBE level of DFT. Values from VASP.

Results
Calculated total energy ... -9.80 eV/atom
Total magnetization ... 0.00 μB per cell
Formation energy from the elements ... -3.8772 eV/atom
Mass density ... 7.102 g/cm³

```
&SYSTEM
  ibrav = 0, nat = 12, ntyp = 3
/
ATOMIC_SPECIES
Hf 178.49 Hf.upf
Zr 91.22 Zr.upf
O 16.00 O.upf
ATOMIC_POSITIONS angstrom
Hf 0.000 0.000 0.000
Hf 3.460 3.467 0.000
Zr 0.000 3.467 1.626
Zr 3.460 0.000 1.626
O 0.000 1.332 1.626
O 0.000 5.602 1.626
O 1.364 3.467 0.000
O 2.095 0.000 0.000
O 3.460 2.135 1.626
O 3.460 4.798 1.626
O 4.824 0.000 0.000
O 5.555 3.467 0.000
CELL_PARAMETERS angstrom
6.919 0.000 0.000
0.000 6.934 0.000
0.000 0.000 3.253
```

6.
Computed, not measured: HfZrO4 after structural relaxation at the PBE level of DFT. Values from VASP.

Results
Calculated total energy ... -9.78 eV/atom
Total magnetization ... 0.00 μB per cell
Formation energy from the elements ... -3.8597 eV/atom
Mass density ... 8.167 g/cm³

```
&SYSTEM
  ibrav = 0, nat = 24, ntyp = 3
/
ATOMIC_SPECIES
Hf 178.49 Hf.upf
Zr 91.22 Zr.upf
O 16.00 O.upf
ATOMIC_POSITIONS angstrom
Hf 0.000 0.000 0.000
Hf 9.475 -1.806 0.002
Hf -2.073 0.000 2.979
Hf 9.475 1.806 0.002
Zr 2.159 0.000 5.918
Zr 4.237 0.000 2.958
Zr 7.389 1.806 2.957
Zr 7.389 -1.806 2.957
O -0.204 0.000 2.182
O -2.152 0.000 5.000
O 3.327 1.932 2.317
O 1.228 1.729 5.327
O 3.948 0.000 0.737
O 2.070 0.000 3.480
O 7.551 1.983 0.829
O 5.441 1.676 3.842
O 6.250 0.000 2.043
O 4.073 0.000 5.184
O 1.228 -1.729 5.327
O 3.327 -1.932 2.317
O 10.452 0.000 0.476
O 8.218 0.000 3.733
O 5.441 -1.676 3.842
O 7.551 -1.983 0.829
CELL_PARAMETERS angstrom
6.312 -3.622 0.000
6.312 3.622 0.000
-4.153 0.000 5.935
```

7.
Computed, not measured: HfZrO4 after structural relaxation at the PBE level of DFT. Values from VASP.

Results
Calculated total energy ... -9.79 eV/atom
Total magnetization ... 0.00 μB per cell
Formation energy from the elements ... -3.8683 eV/atom
Mass density ... 8.124 g/cm³

```
&SYSTEM
  ibrav = 0, nat = 12, ntyp = 3
/
ATOMIC_SPECIES
Hf 178.49 Hf.upf
Zr 91.22 Zr.upf
O 16.00 O.upf
ATOMIC_POSITIONS angstrom
Hf 0.000 1.277 1.307
Hf 2.554 1.277 3.921
Zr 2.554 1.277 -1.307
Zr 0.000 1.277 6.534
O 3.829 0.064 0.253
O 1.213 -0.002 2.361
O 1.213 2.552 -2.361
O 1.275 0.064 4.975
O 1.279 2.491 0.253
O 1.341 0.002 7.589
O 1.341 2.556 2.866
O -1.275 2.491 4.975
CELL_PARAMETERS angstrom
-2.554 2.554 5.227
2.554 -2.554 5.227
2.554 2.554 -5.227
```

8.
Computed, not measured: HfZrO4 after structural relaxation at the PBE level of DFT. Values from VASP.

Results
Calculated total energy ... -9.80 eV/atom
Total magnetization ... 0.00 μB per cell
Formation energy from the elements ... -3.8778 eV/atom
Mass density ... 7.099 g/cm³

```
&SYSTEM
  ibrav = 0, nat = 12, ntyp = 3
/
ATOMIC_SPECIES
Hf 178.49 Hf.upf
Zr 91.22 Zr.upf
O 16.00 O.upf
ATOMIC_POSITIONS angstrom
Hf 0.000 0.000 0.000
Hf -1.130 2.455 2.710
Zr 1.803 0.000 2.710
Zr 2.933 2.455 0.000
O 0.085 0.954 1.869
O -1.045 1.501 4.579
O 0.569 3.374 3.508
O 1.699 3.990 0.798
O 1.907 0.920 4.623
O 3.037 1.535 1.912
O 4.651 3.409 0.841
O 3.521 3.956 3.552
CELL_PARAMETERS angstrom
5.866 0.000 0.000
0.000 4.910 0.000
-2.260 0.000 5.421
```

Question: What is the formation energy from the elements in the fifth record?
Answer: -3.8772 eV/atom